# 1
# Y2InPd2 meta-GGA r2SCAN optimized geometry
data_Y2InPd2
_space_group_name_H-M_alt 'P 4/m b m'
_space_group_IT_number 127
_space_group_name_Hall '-P 4 2ab'
_cell_length_a 7.755
_cell_length_b 7.755
_cell_length_c 3.663
_cell_angle_alpha 90.00
_cell_angle_beta 90.00
_cell_angle_gamma 90.00
loop_
_atom_site_label
_atom_site_type_symbol
_atom_site_fract_x
_atom_site_fract_y
_atom_site_fract_z
Y1 Y 0.174 0.326 0.000
In1 In 0.000 0.000 0.500
Pd1 Pd 0.127 0.627 0.500
# **Spin magnetization**: 0.00 μB per cell
# **V**: 22.03 A^3/atom
# **Total DFT energy (no corrections)**: -22.75 eV/atom



# 2
# YbInPd meta-GGA r2SCAN optimized geometry
data_YbInPd
_space_group_name_H-M_alt 'P -6 2 m'
_space_group_IT_number 189
_space_group_name_Hall 'P -6 -2'
_cell_length_a 7.6338
_cell_length_b 7.6338
_cell_length_c 3.7278
_cell_angle_alpha 90.00
_cell_angle_beta 90.00
_cell_angle_gamma 120.00
loop_
_atom_site_label
_atom_site_type_symbol
_atom_site_fract_x
_atom_site_fract_y
_atom_site_fract_z
Yb1 Yb 0.0000 0.4069 0.0000
In1 In 0.0000 0.7374 0.5000
Pd1 Pd 0.0000 0.0000 0.0000
Pd2 Pd 0.3333 0.6667 0.5000
# **Spin magnetization**: 0.00 μB per cell
# **V**: 20.90 A^3/atom
# **Total DFT energy (no corrections)**: -28.26 eV/atom



# 3
# YbIn2Pd meta-GGA r2SCAN optimized geometry
data_YbIn2Pd
_space_group_name_H-M_alt 'C m c m'
_space_group_IT_number 63
_space_group_name_Hall '-C 2c 2'
_cell_length_a 4.457
_cell_length_b 10.401
_cell_length_c 7.400
_cell_angle_alpha 90.00
_cell_angle_beta 90.00
_cell_angle_gamma 90.00
loop_
_atom_site_label
_atom_site_type_symbol
_atom_site_fract_x
_atom_site_fract_y
_atom_site_fract_z
Yb1 Yb 0.000 0.074 0.250
In1 In 0.000 0.363 0.048
Pd1 Pd 0.000 0.207 0.750
# **Spin magnetization**: 0.00 μB per cell
# **V**: 21.44 A^3/atom
# **Total DFT energy (no corrections)**: -26.88 eV/atom



# 4
# YbInPd2 meta-GGA r2SCAN optimized geometry
data_YbInPd2
_space_group_name_H-M_alt 'F m -3 m'
_space_group_IT_number 225
_space_group_name_Hall '-F 4 2 3'
_cell_length_a 6.673
_cell_length_b 6.673
_cell_length_c 6.673
_cell_angle_alpha 90.00
_cell_angle_beta 90.00
_cell_angle_gamma 90.00
loop_
_atom_site_label
_atom_site_type_symbol
_atom_site_fract_x
_atom_site_fract_y
_atom_site_fract_z
Yb1 Yb 0.000 0.000 0.000
In1 In 0.000 0.000 0.500
Pd1 Pd 0.250 0.250 0.250
# **Spin magnetization**: 0.00 μB per cell
# **V**: 18.58 A^3/atom
# **Total DFT energy (no corrections)**: -27.18 eV/atom



# 5
# ZnInPd2 meta-GGA r2SCAN optimized geometry
data_ZnInPd2
_space_group_name_H-M_alt 'F m -3 m'
_space_group_IT_number 225
_space_group_name_Hall '-F 4 2 3'
_cell_length_a 6.327
_cell_length_b 6.327
_cell_length_c 6.327
_cell_angle_alpha 90.00
_cell_angle_beta 90.00
_cell_angle_gamma 90.00
loop_
_atom_site_label
_atom_site_type_symbol
_atom_site_fract_x
_atom_site_fract_y
_atom_site_fract_z
Zn1 Zn 0.000 0.000 0.000
In1 In 0.000 0.000 0.500
Pd1 Pd 0.250 0.250 0.250
# **Spin magnetization**: 0.00 μB per cell
# **V**: 15.83 A^3/atom
# **Total DFT energy (no corrections)**: -19.90 eV/atom



# 6
# PmInRh2 meta-GGA r2SCAN optimized geometry
data_PmInRh2
_space_group_name_H-M_alt 'F m -3 m'
_space_group_IT_number 225
_space_group_name_Hall '-F 4 2 3'
_cell_length_a 6.701
_cell_length_b 6.701
_cell_length_c 6.701
_cell_angle_alpha 90.00
_cell_angle_beta 90.00
_cell_angle_gamma 90.00
loop_
_atom_site_label
_atom_site_type_symbol
_atom_site_fract_x
_atom_site_fract_y
_atom_site_fract_z
Pm1 Pm 0.000 0.000 0.000
In1 In 0.000 0.000 0.500
Rh1 Rh 0.250 0.250 0.250
# **Spin magnetization**: 0.00 μB per cell
# **V**: 18.80 A^3/atom
# **Total DFT energy (no corrections)**: -25.81 eV/atom



# 7
# PmSmIn2 meta-GGA r2SCAN optimized geometry
data_PmSmIn2
_space_group_name_H-M_alt 'F m -3 m'
_space_group_IT_number 225
_space_group_name_Hall '-F 4 2 3'
_cell_length_a 7.655
_cell_length_b 7.655
_cell_length_c 7.655
_cell_angle_alpha 90.00
_cell_angle_beta 90.00
_cell_angle_gamma 90.00
loop_
_atom_site_label
_atom_site_type_symbol
_atom_site_fract_x
_atom_site_fract_y
_atom_site_fract_z
Pm1 Pm 0.000 0.000 0.000
Sm1 Sm 0.000 0.000 0.500
In1 In 0.250 0.250 0.250
# **Spin magnetization**: 0.00 μB per cell
# **V**: 28.04 A^3/atom
# **Total DFT energy (no corrections)**: -26.73 eV/atom



# 8
# Pm2InSn meta-GGA r2SCAN optimized geometry
data_Pm2InSn
_space_group_name_H-M_alt 'F m -3 m'
_space_group_IT_number 225
_space_group_name_Hall '-F 4 2 3'
_cell_length_a 7.697
_cell_length_b 7.697
_cell_length_c 7.697
_cell_angle_alpha 90.00
_cell_angle_beta 90.00
_cell_angle_gamma 90.00
loop_
_atom_site_label
_atom_site_type_symbol
_atom_site_fract_x
_atom_site_fract_y
_atom_site_fract_z
Pm1 Pm 0.250 0.250 0.250
In1 In 0.000 0.000 0.000
Sn1 Sn 0.000 0.000 0.500
# **Spin magnetization**: 0.00 μB per cell
# **V**: 28.50 A^3/atom
# **Total DFT energy (no corrections)**: -27.23 eV/atom



# 9
# PmYIn2 meta-GGA r2SCAN optimized geometry
data_PmYIn2
_space_group_name_H-M_alt 'F m -3 m'
_space_group_IT_number 225
_space_group_name_Hall '-F 4 2 3'
_cell_length_a 7.593
_cell_length_b 7.593
_cell_length_c 7.593
_cell_angle_alpha 90.00
_cell_angle_beta 90.00
_cell_angle_gamma 90.00
loop_
_atom_site_label
_atom_site_type_symbol
_atom_site_fract_x
_atom_site_fract_y
_atom_site_fract_z
Pm1 Pm 0.000 0.000 0.000
Y1 Y 0.000 0.000 0.500
In1 In 0.250 0.250 0.250
# **Spin magnetization**: 0.00 μB per cell
# **V**: 27.36 A^3/atom
# **Total DFT energy (no corrections)**: -24.37 eV/atom



# 10
# Pm2ZnIn meta-GGA r2SCAN optimized geometry
data_Pm2ZnIn
_space_group_name_H-M_alt 'F m -3 m'
_space_group_IT_number 225
_space_group_name_Hall '-F 4 2 3'
_cell_length_a 7.526
_cell_length_b 7.526
_cell_length_c 7.526
_cell_angle_alpha 90.00
_cell_angle_beta 90.00
_cell_angle_gamma 90.00
loop_
_atom_site_label
_atom_site_type_symbol
_atom_site_fract_x
_atom_site_fract_y
_atom_site_fract_z
Pm1 Pm 0.250 0.250 0.250
Zn1 Zn 0.000 0.000 0.000
In1 In 0.000 0.000 0.500
# **Spin magnetization**: 0.00 μB per cell
# **V**: 26.64 A^3/atom
# **Total DFT energy (no corrections)**: -23.13 eV/atom



# 11
# Pr3In meta-GGA r2SCAN optimized geometry
data_Pr3In
_space_group_name_H-M_alt 'P m -3 m'
_space_group_IT_number 221
_space_group_name_Hall '-P 4 2 3'
_cell_length_a 5.034
_cell_length_b 5.034
_cell_length_c 5.034
_cell_angle_alpha 90.00
_cell_angle_beta 90.00
_cell_angle_gamma 90.00
loop_
_atom_site_label
_atom_site_type_symbol
_atom_site_fract_x
_atom_site_fract_y
_atom_site_fract_z
Pr1 Pr 0.000 0.000 0.500
In1 In 0.500 0.500 0.500
# **Spin magnetization**: 1.35 μB per cell
# **V**: 31.90 A^3/atom
# **Total DFT energy (no corrections)**: -28.06 eV/atom



# 12
# Pr3In meta-GGA r2SCAN optimized geometry
data_Pr3In
_space_group_name_H-M_alt 'P 63/m m c'
_space_group_IT_number 194
_space_group_name_Hall '-P 6c 2c'
_cell_length_a 7.2234
_cell_length_b 7.2234
_cell_length_c 5.6394
_cell_angle_alpha 90.00
_cell_angle_beta 90.00
_cell_angle_gamma 120.00
loop_
_atom_site_label
_atom_site_type_symbol
_atom_site_fract_x
_atom_site_fract_y
_atom_site_fract_z
Pr1 Pr 0.1768 0.3536 0.2500
In1 In 0.3333 0.6667 0.7500
# **Spin magnetization**: 1.81 μB per cell
# **V**: 31.85 A^3/atom
# **Total DFT energy (no corrections)**: -28.05 eV/atom



Going through the records in order, we get mass density values of 7.621 10.440 9.857 11.190 10.306 10.280 7.774 7.627 7.034 7.327 6.995 7.006 g/cm³.